Below is crystalline SmYTl2 at its relaxed geometry, with properties calculated at the r2SCAN level.

Properties
formation energy: -184 kJ/mol of formula units

a = 7.6295 Å, b = 7.6295 Å, c = 7.6295 Å
α = 90.00°, β = 90.00°, γ = 90.00°
Space group Fm-3m (No. 225)
One atom of each set of equivalent atoms:
Sm 0.0000 0.0000 0.0000
Y 0.0000 0.0000 0.5000
Tl 0.2500 0.2500 0.2500



Below is crystalline Sm3Tm at its relaxed geometry, with properties calculated at the r2SCAN level.

Properties
formation energy: 13 kJ/mol of formula units

a = 5.0856 Å, b = 5.0856 Å, c = 5.0856 Å
α = 90.00°, β = 90.00°, γ = 90.00°
Space group Pm-3m (No. 221)
One atom of each set of equivalent atoms:
Sm 0.0000 0.0000 0.5000
Tm 0.5000 0.5000 0.5000



Below is crystalline Sm3Tm at its relaxed geometry, with properties calculated at the r2SCAN level.

Properties
formation energy: 4 kJ/mol of formula units

a = 7.3233 Å, b = 7.3233 Å, c = 5.8385 Å
α = 90.00°, β = 90.00°, γ = 120.00°
Space group P6_3/mmc (No. 194)
One atom of each set of equivalent atoms:
Sm 0.1695 0.3390 0.2500
Tm 0.3333 0.6667 0.7500



Below is crystalline SmTm3 at its relaxed geometry, with properties calculated at the r2SCAN level.

Properties
formation energy: 3 kJ/mol of formula units

a = 7.2085 Å, b = 7.2085 Å, c = 5.5660 Å
α = 90.00°, β = 90.00°, γ = 120.00°
Space group P6_3/mmc (No. 194)
One atom of each set of equivalent atoms:
Sm 0.3333 0.6667 0.2500
Tm 0.1648 0.3295 0.7500



Taking the records one at a time from the top gives total magnetization values of 0.00; 0.00; 2.34; 0.00 μB/f.u..